# 1
Below is an optimized crystal structure of Li3Ni2P2O8F2, with properties calculated at the PBE+U level.

The structure in POSCAR format:
```
Li3Ni2P2O8F2
1.0
6.3040 0.0000 0.0000
0.0000 10.6561 0.0000
-6.2740 0.0000 10.9594
Li Ni P O F
12 8 8 32 8
direct
0.0250 0.0370 0.2710
0.0250 0.4630 0.7710
0.1590 0.7421 0.1658
0.1590 0.7579 0.6658
0.3324 0.2283 0.0846
0.3324 0.2717 0.5846
0.6676 0.7283 0.4154
0.6676 0.7717 0.9154
0.8410 0.2421 0.3342
0.8410 0.2579 0.8342
0.9750 0.5370 0.2290
0.9750 0.9630 0.7290
0.0000 0.0000 0.0000
0.0000 0.0000 0.5000
0.0000 0.5000 0.0000
0.0000 0.5000 0.5000
0.5000 0.0000 0.0000
0.5000 0.0000 0.5000
0.5000 0.5000 0.0000
0.5000 0.5000 0.5000
0.1775 0.7396 0.4229
0.1775 0.7604 0.9229
0.4939 0.0296 0.7415
0.4939 0.4704 0.2415
0.5061 0.5296 0.7585
0.5061 0.9704 0.2585
0.8225 0.2396 0.0771
0.8225 0.2604 0.5771
0.0367 0.6868 0.4858
0.0367 0.8132 0.9858
0.0447 0.7167 0.2854
0.0447 0.7833 0.7854
0.2086 0.6173 0.9544
0.2086 0.8827 0.4544
0.2313 0.5263 0.1794
0.2313 0.9737 0.6794
0.3716 0.0259 0.3232
0.3716 0.4741 0.8232
0.3728 0.0239 0.1256
0.3728 0.4761 0.6256
0.4381 0.6827 0.4816
0.4381 0.8173 0.9816
0.4943 0.6734 0.7598
0.4943 0.8266 0.2598
0.5057 0.1734 0.7402
0.5057 0.3266 0.2402
0.5619 0.1827 0.0184
0.5619 0.3173 0.5184
0.6272 0.5239 0.3744
0.6272 0.9761 0.8744
0.6284 0.5259 0.1768
0.6284 0.9741 0.6768
0.7687 0.0263 0.3206
0.7687 0.4737 0.8206
0.7914 0.1173 0.5456
0.7914 0.3827 0.0456
0.9553 0.2167 0.2146
0.9553 0.2833 0.7146
0.9633 0.1868 0.0142
0.9633 0.3132 0.5142
0.1322 0.0412 0.8859
0.1322 0.4588 0.3859
0.2225 0.1228 0.4791
0.2225 0.3772 0.9791
0.7775 0.6228 0.0209
0.7775 0.8772 0.5209
0.8678 0.5412 0.6141
0.8678 0.9588 0.1141
```

## Properties
ΔH_f (0 K) = -2.411 eV per atom
DFT total energy = -5.9418 eV/atom
Total magnetic moment = 3.92 μB/f.u.
Volume = 10.8 Å³/atom
SG = P2_1/c

***

# 2
Below is an optimized crystal structure of LiNiPO4F, with properties calculated at the PBE+U level.

The structure in POSCAR format:
```
LiNiPO4F
1.0
5.2033 0.0000 0.0000
-0.8000 5.2605 0.0000
-1.9914 -2.6932 6.4290
Li Ni P O F
2 2 2 8 2
direct
0.0725 0.4339 0.3017
0.9275 0.5661 0.6983
0.0000 0.0000 0.5000
0.5000 0.5000 0.0000
0.4484 0.1161 0.2616
0.5516 0.8839 0.7384
0.2329 0.7822 0.6224
0.2996 0.1682 0.4242
0.3493 0.8155 0.1064
0.3507 0.3148 0.1554
0.6493 0.6852 0.8446
0.6507 0.1845 0.8936
0.7004 0.8318 0.5758
0.7671 0.2178 0.3776
0.1323 0.3307 0.7662
0.8677 0.6693 0.2338
```

## Properties
ΔH_f (0 K) = -2.231 eV per atom
DFT total energy = -5.8630 eV/atom
Offset from the most stable computed form = 0.010 eV per atom
Total magnetic moment = 2.00 μB/f.u.
Volume = 11.0 Å³/atom
SG = P-1

***

# 3
Below is an optimized crystal structure of Li2NiPO4F, with properties calculated at the PBE+U level.

The structure in POSCAR format:
```
Li2NiPO4F
1.0
5.3080 0.0000 0.0000
-0.4368 5.3257 0.0000
-2.3039 -2.3649 6.5998
Li Ni P O F
4 2 2 8 2
direct
0.0000 0.0000 0.0000
0.0602 0.8610 0.6364
0.3637 0.3105 0.9812
0.7928 0.4547 0.3063
0.5455 0.8548 0.6417
0.5550 0.8695 0.1588
0.2208 0.2366 0.3952
0.8968 0.4966 0.9174
0.1899 0.6154 0.0660
0.2231 0.5358 0.4971
0.2949 0.0904 0.5493
0.4031 0.2034 0.2614
0.6995 0.5290 0.0379
0.8293 0.6580 0.7703
0.8878 0.1947 0.8133
0.9224 0.1190 0.2413
0.4049 0.9497 0.8846
0.7071 0.7858 0.4224
```

## Properties
ΔH_f (0 K) = -2.490 eV per atom
DFT total energy = -5.9310 eV/atom
Offset from the most stable computed form = 0.023 eV per atom
Total magnetic moment = 0.00 μB/f.u.
Volume = 10.4 Å³/atom
SG = P1

***

# 4
Below is an optimized crystal structure of LiNiPO4F, with properties calculated at the PBE+U level.

The structure in POSCAR format:
```
LiNiPO4F
1.0
10.9189 0.0000 0.0000
0.0000 6.3051 0.0000
-0.0463 0.0000 11.1534
Li Ni P O F
8 8 8 32 8
direct
0.0000 0.0000 0.0000
0.0084 0.2715 0.2753
0.0084 0.7285 0.2753
0.2187 0.0000 0.7009
0.5039 0.0000 0.3558
0.5303 0.5000 0.8652
0.7227 0.0000 0.6676
0.7946 0.5000 0.2020
0.2631 0.2544 0.4353
0.2631 0.7456 0.4353
0.2661 0.2534 0.9387
0.2661 0.7466 0.9387
0.7669 0.2495 0.9356
0.7669 0.7505 0.9356
0.7687 0.2507 0.4351
0.7687 0.7493 0.4351
0.0047 0.5000 0.0164
0.0227 0.0000 0.5054
0.2302 0.0000 0.1834
0.2979 0.5000 0.6925
0.5080 0.5000 0.3601
0.5248 0.0000 0.8623
0.7425 0.0000 0.1931
0.7952 0.5000 0.6805
0.0506 0.0000 0.6389
0.0801 0.1951 0.4414
0.0801 0.8049 0.4414
0.0895 0.0000 0.1829
0.1418 0.5000 0.9777
0.2510 0.2983 0.7567
0.2510 0.7017 0.7567
0.2564 0.5000 0.5603
0.2826 0.0000 0.3125
0.2880 0.1875 0.1125
0.2880 0.8125 0.1125
0.3875 0.0000 0.8940
0.4394 0.5000 0.7053
0.4476 0.2955 0.4062
0.4476 0.7045 0.4062
0.4907 0.5000 0.2218
0.5494 0.0000 0.7257
0.5849 0.2050 0.9111
0.5849 0.7950 0.9111
0.6027 0.0000 0.2052
0.6464 0.5000 0.3926
0.7456 0.5000 0.8111
0.7514 0.2983 0.6151
0.7514 0.7017 0.6151
0.7853 0.0000 0.0590
0.7989 0.1999 0.2538
0.7989 0.8001 0.2538
0.8839 0.0000 0.4761
0.9370 0.5000 0.6750
0.9469 0.2959 0.9632
0.9469 0.7041 0.9632
0.9900 0.5000 0.1543
0.1524 0.0000 0.9193
0.2179 0.5000 0.3268
0.2970 0.0000 0.5450
0.3804 0.5000 0.9490
0.6527 0.0000 0.4532
0.7303 0.5000 0.0457
0.8009 0.0000 0.8246
0.8842 0.5000 0.4002
```

## Properties
ΔH_f (0 K) = -2.241 eV per atom
DFT total energy = -5.8730 eV/atom
Offset from the most stable computed form = 0.000 eV per atom
Total magnetic moment = 2.73 μB/f.u.
Volume = 12.0 Å³/atom
SG = Pm

***

# 5
Below is an optimized crystal structure of Li2NiPO4F, with properties calculated at the PBE+U level.

The structure in POSCAR format:
```
Li2NiPO4F
1.0
5.3407 0.0000 0.0000
-2.3303 7.0348 0.0000
-0.7611 -3.7823 9.8989
Li Ni P O F
8 4 4 16 4
direct
0.0000 0.0000 0.0000
0.9999 0.9999 0.5001
0.0894 0.4087 0.1824
0.0895 0.4085 0.6822
0.4955 0.7679 0.3535
0.4951 0.7677 0.8535
0.7177 0.1585 0.8687
0.7188 0.1586 0.3686
0.5444 0.8025 0.1083
0.5447 0.8029 0.6084
0.5473 0.3129 0.1138
0.5467 0.3126 0.6137
0.1823 0.0637 0.2840
0.1826 0.0637 0.7839
0.9170 0.5580 0.4400
0.9170 0.5579 0.9399
0.2123 0.1781 0.1822
0.2126 0.1776 0.6819
0.2192 0.6729 0.4523
0.2192 0.6728 0.9524
0.2747 0.2044 0.4340
0.2774 0.2050 0.9337
0.3568 0.9275 0.7547
0.3582 0.9288 0.2550
0.7702 0.7134 0.4693
0.7701 0.7132 0.9692
0.8076 0.3945 0.2942
0.8077 0.3944 0.7941
0.8703 0.4363 0.0370
0.8701 0.4363 0.5370
0.8764 0.9468 0.2707
0.8770 0.9474 0.7713
0.4448 0.5668 0.1789
0.4447 0.5666 0.6785
0.6579 0.0493 0.0334
0.6579 0.0493 0.5334
```

## Properties
ΔH_f (0 K) = -2.513 eV per atom
DFT total energy = -5.9533 eV/atom
Offset from the most stable computed form = 0.001 eV per atom
Total magnetic moment = 0.00 μB/f.u.
Volume = 10.3 Å³/atom
SG = P1